A plane-wave DFT calculation with PBE was carried out for a geometry-optimized RbCd6C12ClO26 structure.

Its crystal system is trigonal. The value obtained for the total energy is -6.42 eV per atom. As for the total magnetization: 3.67 μB/cell. As for the formation energy: -1.423 eV/atom.

Cell: 9.8029 9.8029 9.8029 Å, 58.38 58.38 58.38°
Last column: nearest neighbours and their distance in Å.
Fractional positions:
Rb: 0.0000 0.0000 0.0000  12 O 3.04-3.14
Cd: 0.2250 0.3541 0.7105  6 O 2.35-2.42
Cd: 0.2895 0.7750 0.6459  6 O 2.35-2.42
Cd: 0.3541 0.7105 0.2250  6 O 2.35-2.42
Cd: 0.6459 0.2895 0.7750  6 O 2.35-2.42
Cd: 0.7105 0.2250 0.3541  6 O 2.35-2.42
Cd: 0.7750 0.6459 0.2895  6 O 2.35-2.42
C: 0.0345 0.5758 0.9462  2 O 1.25-1.28
C: 0.0443 0.5671 0.4287  2 O 1.25-1.28
C: 0.0538 0.9655 0.4242  2 O 1.25-1.28
C: 0.4242 0.0538 0.9655  2 O 1.25-1.28
C: 0.4287 0.0443 0.5671  2 O 1.25-1.28
C: 0.4329 0.5713 0.9557  2 O 1.25-1.28
C: 0.5671 0.4287 0.0443  2 O 1.25-1.28
C: 0.5713 0.9557 0.4329  2 O 1.25-1.28
C: 0.5758 0.9462 0.0345  2 O 1.25-1.28
C: 0.9462 0.0345 0.5758  2 O 1.25-1.28
C: 0.9557 0.4329 0.5713  2 O 1.25-1.28
C: 0.9655 0.4242 0.0538  2 O 1.25-1.28
Cl: 0.5000 0.5000 0.5000  6 Cd 2.95, 12 O 3.23-3.26
O: 0.0069 0.3248 0.9845  1 C 1.25
O: 0.0113 0.3256 0.6915  1 C 1.25
O: 0.0155 0.9931 0.6752  1 C 1.25
O: 0.1315 0.5876 0.7910  1 C 1.28
O: 0.1700 0.5573 0.4467  1 C 1.28
O: 0.2090 0.8685 0.4124  1 C 1.28
O: 0.2571 0.2571 0.2571  12 C 3.38-3.70, 15 O 3.48-3.78
O: 0.3085 0.9887 0.6744  1 C 1.25
O: 0.3248 0.9845 0.0069  1 C 1.25
O: 0.3256 0.6915 0.0113  1 C 1.25
O: 0.4124 0.2090 0.8685  1 C 1.28
O: 0.4427 0.5533 0.8300  1 C 1.28
O: 0.4467 0.1700 0.5573  1 C 1.28
O: 0.5533 0.8300 0.4427  1 C 1.28
O: 0.5573 0.4467 0.1700  1 C 1.28
O: 0.5876 0.7910 0.1315  1 C 1.28
O: 0.6744 0.3085 0.9887  1 C 1.25
O: 0.6752 0.0155 0.9931  1 C 1.25
O: 0.6915 0.0113 0.3256  1 C 1.25
O: 0.7429 0.7429 0.7429  12 C 3.38-3.70, 15 O 3.48-3.78
O: 0.7910 0.1315 0.5876  1 C 1.28
O: 0.8300 0.4427 0.5533  1 C 1.28
O: 0.8685 0.4124 0.2090  1 C 1.28
O: 0.9845 0.0069 0.3248  1 C 1.25
O: 0.9887 0.6744 0.3085  1 C 1.25
O: 0.9931 0.6752 0.0155  1 C 1.25